[1]
This record from the Materials Project database describes crystalline RbMg14Si at its relaxed geometry. The functional is PBE.

Output
formation energy from the elements: 0.144 eV per atom
calculated total energy: -26.58 eV/cell

Cell lengths 10.4779, 6.5992, 6.5992 Å; angles 58.76, 90.00, 90.00 degrees
Atoms (fractional coordinates):
Rb: 0.0000 0.0000 0.0000
Mg: 0.0000 0.0020 0.4985
Mg: 0.0000 0.4985 0.0020
Mg: 0.2285 0.6414 0.6414
Mg: 0.2588 0.1544 0.6367
Mg: 0.2588 0.6367 0.1544
Mg: 0.2707 0.1539 0.1539
Mg: 0.5000 0.4837 0.4837
Mg: 0.5000 0.4881 0.9756
Mg: 0.5000 0.9756 0.4881
Mg: 0.5000 0.9794 0.9794
Mg: 0.7293 0.1539 0.1539
Mg: 0.7412 0.1544 0.6367
Mg: 0.7412 0.6367 0.1544
Mg: 0.7715 0.6414 0.6414
Si: 0.0000 0.4438 0.4438

***

[2]
This record from the Materials Project database describes crystalline RbMg14Si at its relaxed geometry. The functional is PBE.

Output
formation energy from the elements: 0.175 eV per atom
calculated total energy: -26.08 eV/cell

Cell lengths 6.4177, 6.4177, 10.8838 Å; angles 90.00, 90.00, 120.00 degrees
Atoms (fractional coordinates):
Rb: 0.0000 0.0000 0.0000
Mg: 0.0070 0.5035 0.0000
Mg: 0.1671 0.3342 0.2693
Mg: 0.1671 0.3342 0.7307
Mg: 0.1671 0.8329 0.2693
Mg: 0.1671 0.8329 0.7307
Mg: 0.4965 0.5035 0.0000
Mg: 0.4965 0.9930 0.0000
Mg: 0.5030 0.0059 0.5000
Mg: 0.5030 0.4970 0.5000
Mg: 0.6658 0.8329 0.2693
Mg: 0.6658 0.8329 0.7307
Mg: 0.6667 0.3333 0.2415
Mg: 0.6667 0.3333 0.7585
Mg: 0.9941 0.4970 0.5000
Si: 0.0000 0.0000 0.5000

***

[3]
This record from the Materials Project database describes crystalline RbMg6Si at its relaxed geometry. The functional is PBE.

Output
formation energy from the elements: 0.239 eV per atom
calculated total energy: -14.16 eV/cell

Cell lengths 4.5642, 7.8471, 7.8471 Å; angles 52.56, 90.00, 90.00 degrees
Atoms (fractional coordinates):
Rb: 0.0000 0.0000 0.0000
Mg: 0.0000 0.4570 0.9800
Mg: 0.0000 0.4825 0.4825
Mg: 0.0000 0.9800 0.4570
Mg: 0.5000 0.1441 0.5751
Mg: 0.5000 0.5751 0.1441
Mg: 0.5000 0.6361 0.6361
Si: 0.5000 0.1947 0.1947

***

[4]
This record from the Materials Project database describes crystalline RbMg6Sn at its relaxed geometry. The functional is PBE.

Output
formation energy from the elements: 0.170 eV per atom
calculated total energy: -26.46 eV/cell

Cell lengths 5.2730, 6.9585, 11.9671 Å; angles 90.00, 90.00, 90.00 degrees
Atoms (fractional coordinates):
Mg: 0.0000 0.0000 0.1506
Mg: 0.0000 0.7290 0.4221
Mg: 0.0000 0.0000 0.6643
Mg: 0.5000 0.7562 0.0838
Sn: 0.5000 0.5000 0.3383
Mg: 0.0000 0.2290 0.9221
Rb: 0.5000 0.5000 0.8349
Mg: 0.5000 0.7438 0.5838
Rb: 0.5000 0.0000 0.3349
Mg: 0.0000 0.5000 0.1643
Mg: 0.0000 0.5000 0.6506
Mg: 0.0000 0.7710 0.9221
Mg: 0.5000 0.2562 0.5838
Sn: 0.5000 0.0000 0.8383
Mg: 0.5000 0.2438 0.0838
Mg: 0.0000 0.2710 0.4221

***

[5]
This record from the Materials Project database describes crystalline RbMg14Sn at its relaxed geometry. The functional is PBE.

Output
formation energy from the elements: 0.114 eV per atom
calculated total energy: -25.57 eV/cell

Cell lengths 6.5248, 6.5248, 10.9731 Å; angles 90.00, 90.00, 120.00 degrees
Atoms (fractional coordinates):
Rb: 0.0000 0.0000 0.0000
Mg: 0.0063 0.5031 0.0000
Mg: 0.1717 0.3434 0.2619
Mg: 0.1717 0.3434 0.7381
Mg: 0.1717 0.8283 0.2619
Mg: 0.1717 0.8283 0.7381
Mg: 0.4969 0.5031 0.0000
Mg: 0.4969 0.9937 0.0000
Mg: 0.5020 0.0040 0.5000
Mg: 0.5020 0.4980 0.5000
Mg: 0.6566 0.8283 0.2619
Mg: 0.6566 0.8283 0.7381
Mg: 0.6667 0.3333 0.2432
Mg: 0.6667 0.3333 0.7568
Mg: 0.9960 0.4980 0.5000
Sn: 0.0000 0.0000 0.5000

***

[6]
This record from the Materials Project database describes crystalline RbMg14Sn at its relaxed geometry. The functional is PBE.

Output
formation energy from the elements: 0.090 eV per atom
calculated total energy: -25.95 eV/cell

Cell lengths 10.6489, 6.5429, 6.5429 Å; angles 61.28, 90.00, 90.00 degrees
Atoms (fractional coordinates):
Rb: 0.0000 0.0000 0.0000
Mg: 0.0000 0.0075 0.4960
Mg: 0.0000 0.4960 0.0075
Mg: 0.2464 0.6683 0.6683
Mg: 0.2632 0.1758 0.6579
Mg: 0.2632 0.6579 0.1758
Mg: 0.2663 0.1739 0.1739
Mg: 0.5000 0.0002 0.0002
Mg: 0.5000 0.5020 0.5020
Mg: 0.5000 0.5027 0.9969
Mg: 0.5000 0.9969 0.5027
Mg: 0.7337 0.1739 0.1739
Mg: 0.7368 0.1758 0.6579
Mg: 0.7368 0.6579 0.1758
Mg: 0.7536 0.6683 0.6683
Sn: 0.0000 0.4932 0.4932

***

[7]
This record from the Materials Project database describes crystalline RbMg6Sn at its relaxed geometry. The functional is PBE.

Output
formation energy from the elements: 0.165 eV per atom
calculated total energy: -26.55 eV/cell

Cell lengths 5.2244, 7.0534, 12.1963 Å; angles 90.00, 90.00, 90.00 degrees
Atoms (fractional coordinates):
Mg: 0.5000 0.7584 0.9187
Sn: 0.0000 0.0000 0.8542
Mg: 0.0000 0.2164 0.0735
Mg: 0.0000 0.0000 0.3324
Rb: 0.5000 0.5000 0.1675
Mg: 0.0000 0.5000 0.8324
Rb: 0.5000 0.0000 0.6675
Mg: 0.5000 0.5000 0.6614
Mg: 0.0000 0.7164 0.5735
Mg: 0.0000 0.7836 0.0735
Sn: 0.0000 0.5000 0.3542
Mg: 0.5000 0.0000 0.1614
Mg: 0.5000 0.2584 0.4187
Mg: 0.5000 0.2416 0.9187
Mg: 0.5000 0.7416 0.4187
Mg: 0.0000 0.2836 0.5735

***

[8]
This record from the Materials Project database describes crystalline RbSrMg6 at its relaxed geometry. The functional is PBE.

Output
formation energy from the elements: 0.200 eV per atom
calculated total energy: -21.35 eV/cell

Cell lengths 5.2983, 7.1914, 13.5549 Å; angles 90.00, 90.00, 90.00 degrees
Atoms (fractional coordinates):
Mg: 0.0000 0.0000 0.3606
Mg: 0.0000 0.7623 0.5472
Mg: 0.5000 0.7547 0.9226
Mg: 0.0000 0.5000 0.8606
Mg: 0.5000 0.2453 0.9226
Mg: 0.5000 0.2547 0.4226
Mg: 0.0000 0.5000 0.3540
Mg: 0.0000 0.7377 0.0472
Rb: 0.5000 0.5000 0.6754
Sr: 0.5000 0.0000 0.6705
Mg: 0.0000 0.2377 0.5472
Mg: 0.5000 0.7453 0.4226
Mg: 0.0000 0.2623 0.0472
Sr: 0.5000 0.5000 0.1705
Rb: 0.5000 0.0000 0.1754
Mg: 0.0000 0.0000 0.8540

***

[9]
This record from the Materials Project database describes crystalline RbSrMg6 at its relaxed geometry. The functional is PBE.

Output
formation energy from the elements: 0.224 eV per atom
calculated total energy: -20.96 eV/cell

Cell lengths 5.5626, 7.1854, 12.4508 Å; angles 90.00, 90.00, 90.00 degrees
Atoms (fractional coordinates):
Rb: 0.0000 0.0000 0.8414
Mg: 0.5000 0.7294 0.9183
Mg: 0.5000 0.0000 0.1657
Mg: 0.5000 0.2294 0.4183
Mg: 0.5000 0.5000 0.6657
Rb: 0.0000 0.5000 0.3414
Mg: 0.5000 0.2706 0.9183
Mg: 0.5000 0.7706 0.4183
Mg: 0.0000 0.2404 0.0823
Sr: 0.5000 0.0000 0.6591
Sr: 0.5000 0.5000 0.1591
Mg: 0.0000 0.7596 0.0823
Mg: 0.0000 0.0000 0.3327
Mg: 0.0000 0.7404 0.5823
Mg: 0.0000 0.5000 0.8327
Mg: 0.0000 0.2596 0.5823

***

[10]
This record from the Materials Project database describes crystalline RbMg6Ti at its relaxed geometry. The functional is PBE.

Output
formation energy from the elements: 0.296 eV per atom
calculated total energy: -16.11 eV/cell

Cell lengths 6.9006, 6.9006, 4.4628 Å; angles 90.00, 90.00, 90.00 degrees
Atoms (fractional coordinates):
Rb: 0.0000 0.0000 0.0000
Mg: 0.0000 0.5000 0.0000
Mg: 0.2854 0.2854 0.5000
Mg: 0.2854 0.7146 0.5000
Mg: 0.5000 0.0000 0.0000
Mg: 0.7146 0.2854 0.5000
Mg: 0.7146 0.7146 0.5000
Ti: 0.5000 0.5000 0.0000

***

[11]
This record from the Materials Project database describes crystalline RbMg6Ti at its relaxed geometry. The functional is PBE.

Output
formation energy from the elements: 0.394 eV per atom
calculated total energy: -15.33 eV/cell

Cell lengths 5.3450, 6.4950, 6.4950 Å; angles 69.91, 90.00, 90.00 degrees
Atoms (fractional coordinates):
Rb: 0.0000 0.0000 0.0000
Mg: 0.0000 0.0788 0.4786
Mg: 0.0000 0.4786 0.0788
Mg: 0.0000 0.5587 0.5587
Mg: 0.5000 0.2815 0.7127
Mg: 0.5000 0.7127 0.2815
Mg: 0.5000 0.7547 0.7547
Ti: 0.5000 0.2574 0.2574

***

[12]
This record from the Materials Project database describes crystalline RbMg14V at its relaxed geometry. The functional is PBE.

Output
formation energy from the elements: 0.235 eV per atom
calculated total energy: -28.72 eV/cell

Cell lengths 10.6112, 6.4884, 6.4884 Å; angles 60.88, 90.00, 90.00 degrees
Atoms (fractional coordinates):
Rb: 0.0000 0.0000 0.0000
Mg: 0.0000 0.0026 0.4983
Mg: 0.0000 0.4983 0.0026
Mg: 0.2423 0.6638 0.6638
Mg: 0.2600 0.1779 0.6528
Mg: 0.2600 0.6528 0.1779
Mg: 0.2663 0.1722 0.1722
Mg: 0.5000 0.5002 0.5002
Mg: 0.5000 0.5014 0.9980
Mg: 0.5000 0.9980 0.5014
Mg: 0.5000 0.9991 0.9991
Mg: 0.7337 0.1722 0.1722
Mg: 0.7400 0.1779 0.6528
Mg: 0.7400 0.6528 0.1779
Mg: 0.7577 0.6638 0.6638
V: 0.0000 0.4949 0.4949

***

Among the records above, which one has the lowest formation energy from the elements? number 6